No. 1
The following is a DFT calculation (PBE with a Hubbard U) of crystalline V5CoO12 at its relaxed geometry.

## Properties
Crystal system: triclinic
ρ (Mg/m³): 3.319
Formation energy (meV/atom): -2245

Lattice parameters (Å, degrees): 5.841 6.781 6.852 84.01 75.79 74.19
Space group P1 (No. 1)
One atom of each set of equivalent atoms:
V 0.000 0.000 0.000 [1 per cell]
V 0.002 0.403 0.407 [1 per cell]
V 0.492 0.184 0.819 [1 per cell]
V 0.499 0.591 0.216 [1 per cell]
V 0.510 0.714 0.692 [1 per cell]
Co 0.017 0.876 0.525 [1 per cell]
O 0.003 0.879 0.226 [1 per cell]
O 0.014 0.173 0.535 [1 per cell]
O 0.122 0.829 0.809 [1 per cell]
O 0.195 0.173 0.959 [1 per cell]
O 0.298 0.414 0.273 [1 per cell]
O 0.392 0.750 0.436 [1 per cell]
O 0.476 0.421 0.711 [1 per cell]
O 0.543 0.701 0.973 [1 per cell]
O 0.599 0.992 0.647 [1 per cell]
O 0.693 0.135 0.988 [1 per cell]
O 0.808 0.431 0.242 [1 per cell]
O 0.880 0.612 0.569 [1 per cell]

***

No. 2
The following is a DFT calculation (PBE with a Hubbard U) of crystalline VCo2O4 at its relaxed geometry.

## Properties
Crystal system: monoclinic
ρ (Mg/m³): 5.036
Formation energy (meV/atom): -1757

Lattice parameters (Å, degrees): 10.432 6.001 29.433 90.00 90.70 90.00
Space group Cm (No. 8)
One atom of each set of equivalent atoms:
V 0.000 0.000 0.000 [2 per cell]
V 0.000 0.500 0.250 [2 per cell]
V 0.159 0.500 0.665 [2 per cell]
V 0.160 0.000 0.603 [2 per cell]
V 0.166 0.000 0.417 [2 per cell]
V 0.167 0.000 0.917 [2 per cell]
V 0.168 0.500 0.166 [2 per cell]
V 0.326 0.500 0.768 [2 per cell]
V 0.329 0.000 0.833 [2 per cell]
V 0.334 0.000 0.333 [2 per cell]
V 0.334 0.500 0.083 [2 per cell]
V 0.491 0.500 0.500 [2 per cell]
Co 0.002 0.500 0.747 [2 per cell]
Co 0.006 0.500 0.063 [2 per cell]
Co 0.008 0.500 0.560 [2 per cell]
Co 0.083 0.249 0.832 [4 per cell]
Co 0.084 0.250 0.332 [4 per cell]
Co 0.164 0.000 0.102 [2 per cell]
Co 0.174 0.000 0.229 [2 per cell]
Co 0.177 0.000 0.727 [2 per cell]
Co 0.249 0.253 0.499 [4 per cell]
Co 0.250 0.251 0.999 [4 per cell]
Co 0.330 0.500 0.269 [2 per cell]
Co 0.334 0.500 0.580 [2 per cell]
Co 0.339 0.500 0.396 [2 per cell]
Co 0.339 0.500 0.897 [2 per cell]
Co 0.418 0.246 0.665 [4 per cell]
Co 0.418 0.249 0.165 [4 per cell]
Co 0.496 0.000 0.437 [2 per cell]
Co 0.496 0.000 0.935 [2 per cell]
O 0.010 0.500 0.627 [2 per cell]
O 0.013 0.500 0.130 [2 per cell]
O 0.021 0.000 0.376 [2 per cell]
O 0.021 0.000 0.876 [2 per cell]
O 0.081 0.219 0.458 [4 per cell]
O 0.082 0.222 0.957 [4 per cell]
O 0.087 0.278 0.207 [4 per cell]
O 0.093 0.273 0.704 [4 per cell]
O 0.148 0.500 0.288 [2 per cell]
O 0.156 0.000 0.035 [2 per cell]
O 0.163 0.500 0.792 [2 per cell]
O 0.164 0.000 0.541 [2 per cell]
O 0.179 0.000 0.296 [2 per cell]
O 0.179 0.000 0.796 [2 per cell]
O 0.183 0.500 0.538 [2 per cell]
O 0.187 0.500 0.042 [2 per cell]
O 0.242 0.261 0.625 [4 per cell]
O 0.249 0.278 0.123 [4 per cell]
O 0.252 0.220 0.875 [4 per cell]
O 0.252 0.221 0.374 [4 per cell]
O 0.313 0.000 0.456 [2 per cell]
O 0.315 0.000 0.956 [2 per cell]
O 0.324 0.500 0.201 [2 per cell]
O 0.332 0.500 0.706 [2 per cell]
O 0.340 0.500 0.462 [2 per cell]
O 0.345 0.500 0.963 [2 per cell]
O 0.352 0.000 0.705 [2 per cell]
O 0.355 0.000 0.208 [2 per cell]
O 0.408 0.245 0.792 [4 per cell]
O 0.415 0.221 0.290 [4 per cell]
O 0.419 0.278 0.041 [4 per cell]
O 0.424 0.269 0.536 [4 per cell]
O 0.482 0.500 0.122 [2 per cell]
O 0.488 0.000 0.867 [2 per cell]
O 0.490 0.000 0.368 [2 per cell]
O 0.495 0.500 0.625 [2 per cell]

***

No. 3
The following is a DFT calculation (PBE with a Hubbard U) of crystalline VCoO3 at its relaxed geometry.

## Properties
Crystal system: triclinic
ρ (Mg/m³): 5.001
Formation energy (meV/atom): -2005

Lattice parameters (Å, degrees): 4.995 5.116 5.503 62.31 89.79 61.35
Space group P1 (No. 1)
One atom of each set of equivalent atoms:
V 0.000 0.000 0.000 [1 per cell]
V 0.296 0.418 0.908 [1 per cell]
Co 0.501 0.996 0.526 [1 per cell]
Co 0.798 0.423 0.381 [1 per cell]
O 0.111 0.199 0.192 [1 per cell]
O 0.186 0.220 0.716 [1 per cell]
O 0.379 0.536 0.192 [1 per cell]
O 0.576 0.500 0.721 [1 per cell]
O 0.720 0.918 0.189 [1 per cell]
O 0.918 0.881 0.718 [1 per cell]

***

No. 4
The following is a DFT calculation (PBE with a Hubbard U) of crystalline V2CoO8 at its relaxed geometry.

## Properties
Crystal system: orthorhombic
ρ (Mg/m³): 2.574
Formation energy (meV/atom): -1513

Lattice parameters (Å, degrees): 5.645 10.787 12.236 90.00 90.00 90.00
Space group Pnma (No. 62)
One atom of each set of equivalent atoms:
V 0.178 0.030 0.170 [8 per cell]
Co 0.021 0.750 0.038 [4 per cell]
O 0.028 0.558 0.722 [8 per cell]
O 0.119 0.126 0.065 [8 per cell]
O 0.150 0.620 0.130 [8 per cell]
O 0.216 0.250 0.465 [4 per cell]
O 0.241 0.250 0.888 [4 per cell]